# 1
A plane-wave DFT calculation with PBE was carried out for an optimized crystal structure of Na2CaMgP2O8.

Lattice parameters (Å, degrees): 9.2346 5.2371 13.5314 90.00 91.00 90.00
Last column: nearest neighbours and their distance in Å.
Space group P2_1/c (No. 14)
Unique sites:
Na 0.0816 0.2216 0.3975  3 O 2.28-2.48
Na 0.4157 0.2225 0.0902  3 O 2.29-2.48
Ca 0.2644 0.6812 0.2509  5 O 2.38-2.60
Mg 0.2468 0.7454 0.9982  6 O 2.06-2.14
P 0.0866 0.2273 0.1300  4 O 1.53-1.57
P 0.4189 0.2295 0.3656  4 O 1.53-1.56
O 0.0761 0.6957 0.4001  1 P 1.56
O 0.1004 0.1672 0.7355  1 P 1.53
O 0.1583 0.0791 0.5585  1 P 1.56
O 0.1650 0.5374 0.6195  1 P 1.57
O 0.3319 0.5223 0.8805  1 P 1.56
O 0.3469 0.0510 0.9253  1 P 1.56
O 0.4221 0.1913 0.7565  1 P 1.53
O 0.4231 0.6922 0.0943  1 P 1.56

## Properties
Theoretical density   3.05 Mg/m³
Magnetic moment   0.003 μB/cell
Formation enthalpy at 0 K   -2.9553 eV/atom

# 2
A plane-wave DFT calculation with PBE was carried out for an optimized crystal structure of Na7Ca2Mg2P3S3O24.

Lattice parameters (Å, degrees): 9.2068 9.2368 22.3404 89.79 89.92 60.12
Last column: nearest neighbours and their distance in Å.
Space group P1 (No. 1)
Unique sites:
Na 0.0000 0.0000 0.0000  6 O 2.48-2.75
Na 0.9996 0.6513 0.7596  6 O 2.46-2.68
Na 0.0231 0.3267 0.1777  4 O 2.42-2.65
Na 0.0241 0.9502 0.6841  6 O 2.45-2.74
Na 0.3136 0.6630 0.1657  7 O 2.56-2.85
Na 0.3222 0.3108 0.6774  5 O 2.49-2.68
Na 0.3256 0.6202 0.8386  5 O 2.38-2.63
Na 0.3268 0.3415 0.3281  5 O 2.39-2.60
Na 0.3453 0.9741 0.0888  6 O 2.43-2.72
Na 0.3485 0.9435 0.5917  4 O 2.37-2.59
Na 0.3737 0.2821 0.0075  5 O 2.46-2.65
Na 0.6259 0.6561 0.0125  5 O 2.45-2.64
Na 0.6386 0.9971 0.5152  5 O 2.47-2.63
Na 0.6518 0.6811 0.6675  5 O 2.42-2.67
Na 0.6583 0.9539 0.1618  5 O 2.45-2.72
Na 0.6777 0.3234 0.4223  4 O 2.35-2.59
Na 0.6859 0.3030 0.9260  6 O 2.42-2.68
Na 0.7074 0.6089 0.3372  5 O 2.36-2.63
Na 0.7105 0.9769 0.8421  5 O 2.34-2.62
Na 0.9911 0.3000 0.4961  5 O 2.42-2.64
Na 0.9991 0.6423 0.2502  6 O 2.39-2.66
Ca 0.9999 0.6519 0.6047  6 O 2.22-2.34
Ca 0.3255 0.9755 0.4365  6 O 2.21-2.37
Ca 0.6533 0.3269 0.5783  6 O 2.18-2.40
Ca 0.6722 0.3125 0.7768  6 O 2.23-2.41
Ca 0.6735 0.3120 0.2659  6 O 2.23-2.34
Ca 0.9994 0.6530 0.4037  6 O 2.22-2.37
Mg 0.0016 0.6552 0.9093  6 O 2.06-2.28
Mg 0.3253 0.9827 0.7445  6 O 2.06-2.15
Mg 0.3253 0.9863 0.2359  6 O 2.06-2.21
Mg 0.3274 0.9792 0.9419  6 O 2.03-2.22
Mg 0.6524 0.3209 0.0732  5 O 2.06-2.23
Mg 0.9974 0.6496 0.1020  6 O 2.07-2.15
P 0.0298 0.2856 0.3371  4 O 1.54-1.58
P 0.0378 0.9734 0.8444  4 O 1.54-1.59
P 0.2994 0.6465 0.0063  4 O 1.55-1.58
P 0.3542 0.3163 0.1711  4 O 1.55-1.57
P 0.3554 0.6317 0.6822  4 O 1.54-1.56
P 0.6558 0.0048 0.6764  4 O 1.55-1.56
P 0.6667 0.6236 0.1696  4 O 1.55-1.57
P 0.6897 0.6460 0.5053  4 O 1.55-1.56
P 0.6985 0.9506 0.0052  4 O 1.55-1.58
S 0.3115 0.3353 0.5051  4 O 1.48-1.50
S 0.3222 0.2780 0.8430  4 O 1.48-1.51
S 0.3334 0.6790 0.3313  4 O 1.47-1.50
S 0.6268 0.9824 0.3358  4 O 1.48-1.49
S 0.6280 0.6943 0.8437  4 O 1.48-1.49
S 0.9708 0.0070 0.1666  4 O 1.47-1.50
S 0.9830 0.3052 0.6727  4 O 1.47-1.49
S 0.9925 0.9647 0.5093  4 O 1.47-1.50
S 0.9984 0.3554 0.0061  4 O 1.48-1.50
O 0.0114 0.4508 0.6711  1 S 1.49
O 0.0190 0.4291 0.0621  1 S 1.48
O 0.0202 0.4608 0.3304  1 P 1.58
O 0.0234 0.8091 0.8438  1 P 1.59
O 0.1109 0.2068 0.3977  1 P 1.54
O 0.1303 0.9804 0.9010  1 P 1.54
O 0.1350 0.1791 0.2831  1 P 1.55
O 0.1354 0.9969 0.5088  1 S 1.49
O 0.1359 0.9650 0.7869  1 P 1.55
O 0.1400 0.9922 0.1719  1 S 1.50
O 0.1477 0.1514 0.6816  1 S 1.49
O 0.1512 0.1856 0.0006  1 S 1.50
O 0.1733 0.4494 0.8448  1 S 1.49
O 0.1769 0.4736 0.1629  1 P 1.56
O 0.1808 0.6447 0.6759  1 P 1.56
O 0.1825 0.6588 0.3299  1 S 1.49
O 0.1887 0.6700 0.0618  1 P 1.55
O 0.2179 0.6195 0.9499  1 P 1.55
O 0.2235 0.4251 0.5601  1 S 1.48
O 0.2242 0.4315 0.4509  1 S 1.48
O 0.3150 0.1964 0.7869  1 S 1.48
O 0.3168 0.1706 0.5070  1 S 1.50
O 0.3201 0.8060 0.0034  1 P 1.58
O 0.3324 0.1766 0.8959  1 S 1.48
O 0.3317 0.7725 0.2769  1 S 1.48
O 0.3321 0.8104 0.6835  1 P 1.56
O 0.3352 0.1569 0.1746  1 P 1.57
O 0.3413 0.7624 0.3858  1 S 1.47
O 0.4257 0.3463 0.2294  1 P 1.55
O 0.4327 0.5311 0.7403  1 P 1.55
O 0.4724 0.5454 0.6286  1 P 1.54
O 0.4750 0.2875 0.1179  1 P 1.56
O 0.4783 0.2929 0.8441  1 S 1.51
O 0.4794 0.4892 0.0115  1 P 1.57
O 0.4855 0.5083 0.3329  1 S 1.50
O 0.4865 0.3032 0.5032  1 S 1.49
O 0.4927 0.9943 0.6825  1 P 1.56
O 0.5037 0.7994 0.1730  1 P 1.57
O 0.5159 0.8071 0.5072  1 P 1.55
O 0.5167 0.9753 0.0009  1 P 1.57
O 0.5285 0.7834 0.8974  1 S 1.48
O 0.5292 0.9738 0.2842  1 S 1.49
O 0.5429 0.9888 0.3931  1 S 1.48
O 0.5450 0.7919 0.7887  1 S 1.49
O 0.6355 0.1030 0.6174  1 P 1.55
O 0.6390 0.1365 0.3332  1 S 1.48
O 0.6399 0.5272 0.8433  1 S 1.49
O 0.6418 0.5292 0.1164  1 P 1.56
O 0.6808 0.0960 0.7299  1 P 1.55
O 0.6810 0.4830 0.5034  1 P 1.55
O 0.6829 0.1279 0.0108  1 P 1.58
O 0.7008 0.5213 0.2280  1 P 1.55
O 0.7813 0.8395 0.0610  1 P 1.55
O 0.7819 0.6516 0.5627  1 P 1.56
O 0.7903 0.6420 0.4486  1 P 1.56
O 0.7955 0.8297 0.3328  1 S 1.49
O 0.7986 0.6761 0.8458  1 S 1.49
O 0.8070 0.8671 0.9489  1 P 1.55
O 0.8104 0.8248 0.6756  1 P 1.56
O 0.8213 0.6483 0.1614  1 P 1.56
O 0.8330 0.1286 0.5052  1 S 1.50
O 0.8467 0.3345 0.0088  1 S 1.50
O 0.8485 0.3149 0.3378  1 P 1.55
O 0.8557 0.1253 0.8453  1 P 1.56
O 0.8660 0.3341 0.7222  1 S 1.47
O 0.8684 0.0786 0.2205  1 S 1.47
O 0.8870 0.1152 0.1136  1 S 1.49
O 0.9133 0.2835 0.6158  1 S 1.48
O 0.9769 0.4654 0.9547  1 S 1.48
O 0.9938 0.8359 0.1607  1 S 1.49
O 0.9954 0.8639 0.4580  1 S 1.47
O 0.9994 0.8813 0.5668  1 S 1.48

## Properties
Theoretical density   2.61 Mg/m³
Magnetic moment   0.000 μB/cell
Formation enthalpy at 0 K   -2.6085 eV/atom

# 3
A plane-wave DFT calculation with PBE was carried out for an optimized crystal structure of Na4CaMgP2SO12.

Lattice parameters (Å, degrees): 9.2215 9.2236 22.4624 90.06 90.03 119.85
Last column: nearest neighbours and their distance in Å.
Space group P1 (No. 1)
Unique sites:
Na 0.0000 0.0000 0.0000  6 O 2.47-2.74
Na 0.0045 0.3606 0.7473  5 O 2.45-2.70
Na 0.0122 0.7290 0.4954  6 O 2.53-2.81
Na 0.0287 0.3862 0.2463  6 O 2.45-2.68
Na 0.0432 0.0870 0.6687  4 O 2.45-2.60
Na 0.0558 0.7191 0.1632  6 O 2.49-2.72
Na 0.3060 0.3446 0.1713  5 O 2.47-2.65
Na 0.3260 0.7064 0.6568  5 O 2.53-2.64
Na 0.3398 0.0295 0.0844  6 O 2.43-2.68
Na 0.3416 0.6705 0.3266  6 O 2.48-2.75
Na 0.3479 0.3953 0.8260  5 O 2.54-2.63
Na 0.3611 0.0527 0.5809  6 O 2.41-2.64
Na 0.3818 0.7505 0.0089  5 O 2.46-2.63
Na 0.3911 0.3914 0.4991  6 O 2.47-2.72
Na 0.6410 0.0106 0.5075  5 O 2.46-2.64
Na 0.6625 0.3797 0.9967  6 O 2.52-2.80
Na 0.6716 0.6930 0.4145  6 O 2.56-2.77
Na 0.6747 0.3381 0.6602  6 O 2.47-2.76
Na 0.6818 0.0654 0.1604  6 O 2.55-2.84
Na 0.6979 0.7198 0.9165  5 O 2.45-2.69
Na 0.7106 0.4212 0.3349  5 O 2.47-2.73
Na 0.7220 0.0557 0.8298  6 O 2.44-2.71
Na 0.9732 0.6815 0.8388  5 O 2.44-2.73
Na 0.9922 0.0405 0.3235  5 O 2.52-2.65
Ca 0.0057 0.3737 0.9048  6 O 2.20-2.38
Ca 0.0181 0.3861 0.3998  6 O 2.20-2.43
Ca 0.3445 0.0454 0.4290  6 O 2.23-2.37
Ca 0.3469 0.0464 0.9329  6 O 2.21-2.36
Ca 0.3511 0.0512 0.7311  6 O 2.18-2.40
Ca 0.6774 0.7118 0.7588  6 O 2.23-2.33
Mg 0.0120 0.3777 0.0987  6 O 2.04-2.24
Mg 0.0134 0.3803 0.5955  6 O 2.03-2.15
Mg 0.3322 0.0362 0.2320  5 O 1.99-2.19
Mg 0.6690 0.7046 0.5670  6 O 2.00-2.24
Mg 0.6796 0.7139 0.2606  6 O 2.05-2.18
Mg 0.6880 0.7244 0.0701  6 O 2.02-2.24
P 0.0051 0.6766 0.0040  4 O 1.55-1.57
P 0.0377 0.7446 0.3278  4 O 1.54-1.57
P 0.0386 0.0442 0.8316  4 O 1.54-1.56
P 0.3198 0.6790 0.5017  4 O 1.55-1.56
P 0.3550 0.3499 0.3269  4 O 1.55-1.57
P 0.3688 0.4094 0.6613  4 O 1.54-1.56
P 0.3828 0.7116 0.1651  4 O 1.55-1.58
P 0.6558 0.3549 0.8322  4 O 1.54-1.56
P 0.6889 0.0191 0.6604  4 O 1.54-1.56
P 0.7135 0.0711 0.0039  4 O 1.55-1.56
P 0.7147 0.3859 0.5016  4 O 1.54-1.57
P 0.9795 0.0124 0.1656  4 O 1.55-1.57
S 0.0060 0.0735 0.5014  4 O 1.48-1.49
S 0.3190 0.3869 0.0034  4 O 1.48-1.49
S 0.3455 0.7381 0.8317  4 O 1.48-1.49
S 0.6431 0.0387 0.3272  4 O 1.48-1.50
S 0.6795 0.4152 0.1647  4 O 1.48-1.50
S 0.9789 0.7052 0.6606  4 O 1.48-1.49
O 0.0190 0.5666 0.3286  1 P 1.56
O 0.0234 0.1822 0.5523  1 S 1.48
O 0.0261 0.5786 0.0559  1 P 1.55
O 0.0294 0.2084 0.8323  1 P 1.56
O 0.1095 0.8405 0.3870  1 P 1.55
O 0.1246 0.0271 0.8880  1 P 1.54
O 0.1369 0.0537 0.7746  1 P 1.55
O 0.1489 0.8559 0.6625  1 S 1.49
O 0.1557 0.8390 0.2754  1 P 1.54
O 0.1589 0.0333 0.1704  1 P 1.57
O 0.1608 0.0600 0.4995  1 S 1.49
O 0.1634 0.8548 0.0039  1 P 1.56
O 0.1906 0.3605 0.3278  1 P 1.57
O 0.1917 0.3909 0.6549  1 P 1.56
O 0.1957 0.5686 0.8347  1 S 1.49
O 0.2032 0.5540 0.1603  1 P 1.57
O 0.2052 0.5838 0.5547  1 P 1.55
O 0.2084 0.3689 0.0537  1 S 1.48
O 0.2475 0.5809 0.4431  1 P 1.55
O 0.2501 0.4095 0.9467  1 S 1.48
O 0.3282 0.8191 0.7775  1 S 1.48
O 0.3334 0.2326 0.0018  1 S 1.49
O 0.3335 0.8550 0.5002  1 P 1.56
O 0.3391 0.2357 0.2739  1 P 1.55
O 0.3503 0.2318 0.6611  1 P 1.56
O 0.3601 0.8372 0.8855  1 S 1.48
O 0.3666 0.8735 0.1699  1 P 1.58
O 0.3796 0.2790 0.3861  1 P 1.55
O 0.4388 0.5034 0.7208  1 P 1.55
O 0.4672 0.6862 0.2206  1 P 1.55
O 0.4885 0.5068 0.6097  1 P 1.54
O 0.4895 0.5356 0.0098  1 S 1.49
O 0.4906 0.7340 0.1093  1 P 1.55
O 0.4994 0.7026 0.5066  1 P 1.56
O 0.4991 0.7237 0.8298  1 S 1.49
O 0.5106 0.5293 0.3215  1 P 1.57
O 0.5245 0.0290 0.6603  1 P 1.56
O 0.5298 0.2439 0.1696  1 S 1.50
O 0.5373 0.0570 0.0032  1 P 1.56
O 0.5367 0.2276 0.5010  1 P 1.56
O 0.5506 0.0181 0.3836  1 S 1.48
O 0.5538 0.0587 0.2761  1 S 1.48
O 0.5556 0.2687 0.8890  1 P 1.55
O 0.5697 0.2504 0.7761  1 P 1.54
O 0.6559 0.4959 0.1113  1 S 1.49
O 0.6605 0.8862 0.3220  1 S 1.50
O 0.6688 0.5296 0.8304  1 P 1.56
O 0.6746 0.9038 0.6081  1 P 1.54
O 0.6910 0.8921 0.0089  1 P 1.56
O 0.6995 0.5471 0.5071  1 P 1.57
O 0.7012 0.5188 0.2183  1 S 1.48
O 0.7128 0.9496 0.7199  1 P 1.55
O 0.8082 0.1409 0.9447  1 P 1.55
O 0.8084 0.4059 0.4423  1 P 1.55
O 0.8112 0.1876 0.0565  1 P 1.55
O 0.8107 0.3655 0.5542  1 P 1.54
O 0.8134 0.1898 0.3300  1 S 1.49
O 0.8329 0.3984 0.1604  1 S 1.50
O 0.8340 0.3760 0.8324  1 P 1.56
O 0.8434 0.1985 0.6550  1 P 1.56
O 0.8433 0.6907 0.0096  1 P 1.57
O 0.8580 0.9022 0.5071  1 S 1.49
O 0.8600 0.8885 0.8311  1 P 1.56
O 0.8608 0.7273 0.3211  1 P 1.57
O 0.8690 0.9286 0.2211  1 P 1.55
O 0.8873 0.6852 0.7171  1 S 1.49
O 0.8880 0.7247 0.6100  1 S 1.48
O 0.8968 0.9018 0.1103  1 P 1.55
O 0.9830 0.1445 0.4451  1 S 1.49
O 0.9855 0.5862 0.9439  1 P 1.55
O 0.9965 0.5532 0.6556  1 S 1.49
O 0.9988 0.1913 0.1603  1 P 1.57

## Properties
Theoretical density   2.66 Mg/m³
Magnetic moment   0.000 μB/cell
Formation enthalpy at 0 K   -2.6711 eV/atom

Look up the theoretical density of the first one. 3.05 Mg/m³